Entry 1:
Computed, not measured: crystalline W2N at its relaxed geometry at the GGA-PBE level of DFT.

Cell: 2.835 2.835 17.657 Å, 90.00 90.00 120.00°
Sites, in units of the cell vectors:
W1 0.000 0.000 0.076
W2 0.000 0.000 0.924
W3 0.333 0.667 0.262
W4 0.333 0.667 0.417
W5 0.667 0.333 0.583
W6 0.667 0.333 0.738
N1 0.000 0.000 0.500
N2 0.333 0.667 0.150
N3 0.667 0.333 0.850

Calculated values
DFT total energy in eV per cell: -98.13
Space-group type: No. 164
ΔE_f in eV per formula unit: 1.183
Mass density in g/cm³: 15.47


Entry 2:
Computed, not measured: crystalline Sr2Ge2O5 at its relaxed geometry at the GGA-PBE level of DFT.

Cell: 4.033 4.033 7.302 Å, 90.00 90.00 90.00°
Sites, in units of the cell vectors:
Sr1 0.000 0.000 0.000
Sr2 0.000 0.000 0.500
Ge1 0.500 0.500 0.241
Ge2 0.500 0.500 0.759
O1 0.000 0.500 0.233
O2 0.000 0.500 0.767
O3 0.500 0.000 0.233
O4 0.500 0.000 0.767
O5 0.500 0.500 0.500

Calculated values
DFT total energy in eV per cell: -55.53
Space-group type: No. 123
ΔE_f in eV per formula unit: -21.600
Mass density in g/cm³: 5.60


Entry 3:
Computed, not measured: crystalline Li3Bi3P8O29 at its relaxed geometry at the GGA-PBE level of DFT.

Cell: 10.158 10.198 14.602 Å, 88.86 89.94 60.15°
Sites, in units of the cell vectors:
Li1 0.000 0.000 0.000
Li2 0.028 0.787 0.564
Li3 0.261 0.847 0.453
Li4 0.617 0.755 0.106
Li5 0.736 0.373 0.946
Li6 0.884 0.356 0.452
Bi1 0.384 0.638 0.252
Bi2 0.390 0.070 0.758
Bi3 0.523 0.502 0.754
Bi4 0.525 0.075 0.257
Bi5 0.957 0.638 0.759
Bi6 0.963 0.499 0.253
P1 0.038 0.290 0.844
P2 0.041 0.752 0.351
P3 0.180 0.767 0.847
P4 0.191 0.146 0.346
P5 0.265 0.990 0.158
P6 0.272 0.843 0.662
P7 0.285 0.407 0.629
P8 0.291 0.404 0.127
P9 0.623 0.732 0.880
P10 0.625 0.730 0.381
P11 0.645 0.300 0.341
P12 0.661 0.143 0.850
P13 0.726 0.995 0.661
P14 0.727 0.391 0.157
P15 0.871 0.390 0.660
P16 0.873 0.851 0.164
O1 0.038 0.747 0.851
O2 0.039 0.300 0.350
O3 0.054 0.433 0.845
O4 0.078 0.587 0.336
O5 0.146 0.564 0.660
O6 0.156 0.383 0.163
O7 0.162 0.872 0.922
O8 0.168 0.074 0.078
O9 0.170 0.846 0.747
O10 0.182 0.071 0.252
O11 0.195 0.754 0.348
O12 0.197 0.829 0.577
O13 0.199 0.146 0.849
O14 0.203 0.047 0.425
O15 0.264 0.276 0.671
O16 0.268 0.559 0.163
O17 0.277 0.991 0.662
O18 0.278 0.831 0.159
O19 0.287 0.408 0.526
O20 0.291 0.405 0.024
O21 0.320 0.184 0.337
O22 0.328 0.612 0.849
O23 0.431 0.963 0.165
O24 0.437 0.388 0.670
O25 0.437 0.710 0.676
O26 0.445 0.271 0.166
O27 0.467 0.860 0.840
O28 0.470 0.743 0.349
O29 0.478 0.431 0.332
O30 0.504 0.152 0.853
O31 0.585 0.973 0.667
O32 0.597 0.559 0.171
O33 0.623 0.733 0.484
O34 0.626 0.730 0.983
O35 0.637 0.308 0.849
O36 0.642 0.149 0.349
O37 0.644 0.859 0.334
O38 0.645 0.573 0.850
O39 0.711 0.993 0.161
O40 0.715 0.395 0.662
O41 0.718 0.322 0.070
O42 0.726 0.292 0.243
O43 0.733 0.078 0.578
O44 0.735 0.314 0.417
O45 0.737 0.072 0.754
O46 0.751 0.757 0.839
O47 0.767 0.576 0.350
O48 0.768 0.063 0.928
O49 0.840 0.553 0.677
O50 0.850 0.709 0.164
O51 0.874 0.833 0.663
O52 0.880 0.391 0.160
O53 0.943 0.278 0.918
O54 0.943 0.852 0.264
O55 0.951 0.323 0.573
O56 0.963 0.821 0.438
O57 0.964 0.865 0.089
O58 0.970 0.283 0.745

Calculated values
E above lowest polymorph in meV/atom: 9
DFT total energy in eV per cell: -564.23
Space-group type: No. 1
ΔE_f in eV per formula unit: -97.846
Mass density in g/cm³: 3.44